Density functional theory data (PBE) for an optimized crystal structure of Ho2Se3.

```
20
Lattice="0.0000 5.7564 12.2254 4.1108 0.0000 12.2254 4.1108 5.7564 0.0000" Properties=species:S:1:pos:R:3 pbc="T T T"
Ho 1.0277 1.4391 1.0049
Ho 3.0831 4.3173 3.1236
Ho 1.0277 1.4391 5.1078
Ho 5.1385 7.1955 9.2363
Ho 3.0831 4.3173 15.2145
Ho 7.1939 10.0737 19.3430
Ho 5.1385 7.1955 21.3272
Ho 7.1939 10.0737 23.4458
Se 3.0168 1.4017 7.1899
Se 5.2054 4.3173 9.1690
Se 3.1494 1.4017 11.1481
Se 5.2048 4.2799 13.3026
Se 7.2608 7.1955 15.2817
Se 5.0722 4.2799 17.2608
Se 3.1494 7.2329 7.1899
Se 0.9608 4.3173 9.1690
Se 3.0168 7.2329 11.1481
Se 5.0722 10.1111 13.3026
Se 3.0162 7.1955 15.2817
Se 5.2048 10.1111 17.2608
```

Symmetry = Fddd (70)
Formation enthalpy at 0 K = -2.162 eV/atom


Density functional theory data (PBE) for an optimized crystal structure of Li2TlHg.

```
4
Lattice="0.0000 3.3958 3.3958 3.3958 0.0000 3.3958 3.3958 3.3958 0.0000" Properties=species:S:1:pos:R:3 pbc="T T T"
Li 1.6979 1.6979 1.6979
Li 5.0937 5.0937 5.0937
Tl 0.0000 0.0000 0.0000
Hg 3.3958 3.3958 3.3958
```

Symmetry = Fm-3m (225)
Formation enthalpy at 0 K = -0.303 eV/atom


Density functional theory data (PBE) for an optimized crystal structure of Cu3As.

```
32
Lattice="-4.8235 4.8235 4.8235 4.8235 -4.8235 4.8235 4.8235 4.8235 -4.8235" Properties=species:S:1:pos:R:3 pbc="T T T"
Cu 7.5176 -0.6124 1.2678
Cu 1.7994 -0.2823 1.1440
Cu 5.4359 -1.2678 2.6941
Cu 1.1440 1.7994 -0.2823
Cu 4.5412 3.6796 -1.7994
Cu 3.6796 1.7994 0.2823
Cu 3.6796 -1.7994 4.5412
Cu -0.2823 1.1440 1.7994
Cu 5.9675 3.0242 0.2823
Cu 5.4359 1.2678 2.1294
Cu 1.7994 0.2823 3.6796
Cu 2.6941 5.4359 -1.2678
Cu 0.2823 3.6796 1.7994
Cu 4.2111 3.5557 2.1294
Cu 3.0242 0.2823 5.9675
Cu 3.5557 2.1294 4.2111
Cu 2.1294 5.4359 1.2678
Cu 1.2678 7.5176 -0.6124
Cu 1.2678 2.1294 5.4359
Cu 2.1294 4.2111 3.5557
Cu -1.2678 2.6941 5.4359
Cu -1.7994 4.5412 3.6796
Cu -0.6124 1.2678 7.5176
Cu 0.2823 5.9675 3.0242
As 2.7144 2.1091 -2.1091
As 5.1262 -0.3026 0.3026
As 2.1091 -2.1091 2.7144
As 2.1091 2.1091 2.1091
As -2.1091 2.7144 2.1091
As 0.3026 5.1262 -0.3026
As -0.3026 0.3026 5.1262
As 4.5209 4.5209 4.5209
```

Symmetry = I-43d (220)
Formation enthalpy at 0 K = 0.023 eV/atom


Short version: electronic total energy = -5.8093, -1.9242, -4.2159 eV per atom, in the order given.